MgNb4Co2O12: optimized geometry, PBE+U.

Unit cell a=5.7757 b=5.9113 c=7.6086 alpha=69.62 beta=71.51 gamma=76.10
Space group P1 (No. 1)
Unique sites:
Mg  0.0000  0.0000  0.0000 (multiplicity 1)
Nb  0.3122  0.8303  0.6346 (multiplicity 1)
Nb  0.5857  0.2100  0.8251 (multiplicity 1)
Nb  0.6142  0.1345  0.3574 (multiplicity 1)
Nb  0.9387  0.5010  0.0482 (multiplicity 1)
Co  0.3370  0.8047  0.1933 (multiplicity 1)
Co  0.9698  0.4909  0.5168 (multiplicity 1)
O  0.0146  0.1498  0.1880 (multiplicity 1)
O  0.0464  0.6385  0.1960 (multiplicity 1)
O  0.2206  0.7065  0.4789 (multiplicity 1)
O  0.2557  0.1950  0.5061 (multiplicity 1)
O  0.3294  0.4702  0.8546 (multiplicity 1)
O  0.3790  0.9581  0.8870 (multiplicity 1)
O  0.5933  0.0466  0.1319 (multiplicity 1)
O  0.5974  0.5167  0.1749 (multiplicity 1)
O  0.6832  0.7862  0.5295 (multiplicity 1)
O  0.7092  0.2614  0.5520 (multiplicity 1)
O  0.8716  0.3392  0.8362 (multiplicity 1)
O  0.9469  0.8288  0.8382 (multiplicity 1)

Properties
- total energy after the MP2020 corrections (eV/atom) = -8.631
- total moment (μB per cell) = 5.98
- crystal system = triclinic
- mass density (g/cm³) = 5.130